Record 1
Ba3Sr3Np2, optimized geometry, DFT PBE-GGA; E_form = 0.6643 eV/atom; electronic total energy = -3.926 eV/atom; magnetization = 10.322 μB/f.u.; density = 5.0 g/cm3
1.0
6.474 0.000 0.000
0.000 6.474 0.000
0.000 0.000 9.164
Ba Sr Np
3 3 2
Direct
0.000 0.000 0.500
0.000 0.000 0.000
0.500 0.500 0.000
0.000 0.500 0.749
0.500 0.000 0.251
0.500 0.500 0.500
0.000 0.500 0.251
0.500 0.000 0.749


Record 2
Sm2As4O9, optimized geometry, DFT PBE-GGA; E_form = -2.4682 eV/atom; electronic total energy = -6.896 eV/atom; density = 5.1 g/cm3
1.0
-0.473 -5.590 -4.012
2.058 -2.722 6.900
-9.365 1.955 2.549
O Sm As
18 4 8
Direct
0.606 0.318 0.986
0.683 0.021 0.125
0.864 0.347 0.261
0.631 0.101 0.640
0.279 0.248 0.747
0.372 0.539 0.377
0.493 0.772 0.668
0.845 0.872 0.560
0.155 0.128 0.440
0.628 0.461 0.623
0.394 0.682 0.014
0.136 0.653 0.739
0.317 0.979 0.875
0.369 0.899 0.360
0.721 0.752 0.253
0.507 0.228 0.332
0.090 0.668 0.451
0.910 0.332 0.549
0.752 0.060 0.383
0.280 0.469 0.593
0.720 0.531 0.407
0.248 0.940 0.617
0.808 0.349 0.701
0.192 0.651 0.299
0.748 0.918 0.709
0.322 0.222 0.926
0.252 0.082 0.291
0.678 0.778 0.074
0.176 0.755 0.913
0.824 0.245 0.087


Record 3
VRe, optimized geometry, DFT PBE-GGA; E_form = -0.2644 eV/atom; electronic total energy = -11.029 eV/atom; density = 13.8 g/cm3
1.0
-1.522 -1.554 1.554
-1.522 1.554 -1.554
0.000 -3.009 -3.009
V Re
1 1
Direct
0.500 0.500 0.500
0.000 0.000 0.000